No. 1
DFT (PBE+U) results for crystalline Li2Cr4O13 at its relaxed geometry.

## Properties
For the energy relative to the elements, the calculation gives -32.32 eV/f.u. For the total DFT energy (no corrections), the calculation gives -6.429 eV/atom. For the total magnetic moment, the calculation gives 0.00 μB/cell. As for the corrected total energy (MP2020 scheme): -7.320 eV per atom. Its space-group type is C222_1 (20).

Cell: 9.804 9.804 8.920 Å, 90.00 90.00 132.54°
Fractional positions:
Li1 0.590 0.900 0.141
Li2 0.100 0.410 0.359
Li3 0.900 0.590 0.859
Li4 0.410 0.100 0.641
Cr1 0.162 0.277 0.722
Cr2 0.723 0.838 0.778
Cr3 0.076 0.403 0.011
Cr4 0.597 0.924 0.489
Cr5 0.403 0.076 0.989
Cr6 0.924 0.597 0.511
Cr7 0.838 0.723 0.222
Cr8 0.277 0.162 0.278
O1 0.257 0.308 0.316
O2 0.692 0.743 0.184
O3 0.943 0.057 0.750
O4 0.607 0.778 0.611
O5 0.222 0.393 0.889
O6 0.152 0.379 0.587
O7 0.621 0.848 0.913
O8 0.904 0.198 0.075
O9 0.802 0.096 0.425
O10 0.460 0.798 0.348
O11 0.202 0.540 0.152
O12 0.003 0.483 0.913
O13 0.517 0.997 0.587
O14 0.483 0.003 0.087
O15 0.997 0.517 0.413
O16 0.540 0.202 0.848
O17 0.798 0.460 0.652
O18 0.096 0.802 0.575
O19 0.198 0.904 0.925
O20 0.848 0.621 0.087
O21 0.379 0.152 0.413
O22 0.393 0.222 0.111
O23 0.778 0.607 0.389
O24 0.057 0.943 0.250
O25 0.308 0.257 0.684
O26 0.743 0.692 0.816



No. 2
DFT (PBE+U) results for crystalline Li8CrO6 at its relaxed geometry.

## Properties
For the energy relative to the elements, the calculation gives -31.56 eV/f.u. For the total DFT energy (no corrections), the calculation gives -5.337 eV/atom. For the total magnetic moment, the calculation gives 4.00 μB/cell. As for the corrected total energy (MP2020 scheme): -5.745 eV per atom.

Cell: 5.406 5.880 9.363 Å, 105.40 90.03 62.62°
Fractional positions:
Li1 0.488 0.024 0.170
Li2 0.988 0.024 0.671
Li3 0.012 0.976 0.329
Li4 0.512 0.976 0.830
Li5 0.992 0.352 0.245
Li6 0.492 0.352 0.745
Li7 0.981 0.647 0.118
Li8 0.481 0.648 0.619
Li9 0.039 0.648 0.450
Li10 0.539 0.648 0.950
Li11 0.461 0.352 0.050
Li12 0.961 0.352 0.550
Li13 0.519 0.352 0.381
Li14 0.019 0.353 0.882
Li15 0.508 0.648 0.255
Li16 0.008 0.648 0.755
Cr1 0.500 0.000 0.500
Cr2 0.000 0.000 0.000
O1 0.776 0.767 0.313
O2 0.275 0.769 0.814
O3 0.185 0.232 0.044
O4 0.685 0.233 0.544
O5 0.242 0.232 0.386
O6 0.742 0.233 0.885
O7 0.258 0.767 0.115
O8 0.758 0.768 0.614
O9 0.315 0.767 0.456
O10 0.815 0.768 0.956
O11 0.725 0.231 0.186
O12 0.224 0.233 0.687



No. 3
DFT (PBE+U) results for crystalline Li8CrO6 at its relaxed geometry.

## Properties
For the energy relative to the elements, the calculation gives -32.03 eV/f.u. For the total DFT energy (no corrections), the calculation gives -5.368 eV/atom. As for the corrected total energy (MP2020 scheme): -5.776 eV per atom. Its space-group type is P6_3cm (185).

Cell: 5.573 5.573 10.868 Å, 90.00 90.00 120.00°
Fractional positions:
Li1 0.000 0.685 0.767
Li2 0.000 0.610 0.129
Li3 0.000 0.390 0.629
Li4 0.000 0.315 0.267
Li5 0.333 0.667 0.407
Li6 0.333 0.667 0.907
Li7 0.315 0.315 0.767
Li8 0.390 0.390 0.129
Li9 0.610 0.610 0.629
Li10 0.315 0.000 0.267
Li11 0.685 0.685 0.267
Li12 0.390 0.000 0.629
Li13 0.667 0.333 0.907
Li14 0.667 0.333 0.407
Li15 0.610 0.000 0.129
Li16 0.685 0.000 0.767
Cr1 0.000 0.000 0.995
Cr2 0.000 0.000 0.495
O1 0.000 0.690 0.950
O2 0.000 0.310 0.450
O3 0.333 0.667 0.217
O4 0.000 0.000 0.165
O5 0.000 0.000 0.665
O6 0.333 0.667 0.717
O7 0.310 0.310 0.950
O8 0.310 0.000 0.450
O9 0.690 0.690 0.450
O10 0.667 0.333 0.717
O11 0.667 0.333 0.217
O12 0.690 0.000 0.950



No. 4
DFT (PBE+U) results for crystalline Li2Cr2O7 at its relaxed geometry.

## Properties
For the energy relative to the elements, the calculation gives -20.11 eV/f.u. For the total DFT energy (no corrections), the calculation gives -6.279 eV/atom. For the total magnetic moment, the calculation gives 0.00 μB/cell. As for the corrected total energy (MP2020 scheme): -7.079 eV per atom. Its space-group type is P4_12_12 (92).

Cell: 6.614 6.614 12.455 Å, 90.00 90.00 90.00°
Fractional positions:
Li1 0.113 0.647 0.132
Li2 0.147 0.387 0.882
Li3 0.353 0.887 0.368
Li4 0.387 0.147 0.118
Li5 0.613 0.853 0.618
Li6 0.647 0.113 0.868
Li7 0.853 0.613 0.382
Li8 0.887 0.353 0.632
Cr1 0.094 0.838 0.619
Cr2 0.162 0.906 0.881
Cr3 0.338 0.406 0.369
Cr4 0.406 0.338 0.631
Cr5 0.594 0.662 0.131
Cr6 0.662 0.594 0.869
Cr7 0.838 0.094 0.381
Cr8 0.906 0.162 0.119
O1 0.040 0.951 0.376
O2 0.049 0.350 0.076
O3 0.049 0.960 0.124
O4 0.132 0.708 0.958
O5 0.150 0.549 0.326
O6 0.208 0.368 0.708
O7 0.193 0.807 0.750
O8 0.307 0.307 0.500
O9 0.292 0.868 0.542
O10 0.350 0.049 0.924
O11 0.368 0.208 0.292
O12 0.451 0.460 0.126
O13 0.451 0.850 0.174
O14 0.460 0.451 0.874
O15 0.540 0.549 0.374
O16 0.549 0.150 0.674
O17 0.549 0.540 0.626
O18 0.632 0.792 0.792
O19 0.650 0.951 0.424
O20 0.708 0.132 0.042
O21 0.693 0.693 0.000
O22 0.807 0.193 0.250
O23 0.792 0.632 0.208
O24 0.850 0.451 0.826
O25 0.868 0.292 0.458
O26 0.951 0.040 0.624
O27 0.951 0.650 0.576
O28 0.960 0.049 0.876



No. 5
DFT (PBE+U) results for crystalline Li4CrO5 at its relaxed geometry.

## Properties
For the energy relative to the elements, the calculation gives -20.21 eV/f.u. For the total DFT energy (no corrections), the calculation gives -5.680 eV/atom. For the total magnetic moment, the calculation gives 0.00 μB/cell. As for the corrected total energy (MP2020 scheme): -6.224 eV per atom. Its space-group type is P-1 (2).

Cell: 5.116 7.566 4.995 Å, 102.92 102.24 106.33°
Fractional positions:
Li1 0.189 0.706 0.587
Li2 0.000 0.500 0.000
Li3 0.000 0.000 0.500
Li4 0.392 0.904 0.208
Li5 0.383 0.390 0.682
Li6 0.617 0.610 0.318
Li7 0.608 0.096 0.792
Li8 0.811 0.294 0.413
Cr1 0.250 0.218 0.092
Cr2 0.750 0.782 0.908
O1 0.197 0.978 0.875
O2 0.014 0.246 0.785
O3 0.181 0.413 0.318
O4 0.431 0.660 0.946
O5 0.611 0.842 0.587
O6 0.389 0.158 0.413
O7 0.569 0.340 0.054
O8 0.819 0.587 0.682
O9 0.986 0.754 0.215
O10 0.803 0.022 0.125



No. 6
DFT (PBE+U) results for crystalline Li4CrO5 at its relaxed geometry.

## Properties
For the energy relative to the elements, the calculation gives -20.29 eV/f.u. For the total DFT energy (no corrections), the calculation gives -5.689 eV/atom. For the total magnetic moment, the calculation gives 0.00 μB/cell. As for the corrected total energy (MP2020 scheme): -6.232 eV per atom. Its space-group type is P-1 (2).

Cell: 5.010 8.869 8.916 Å, 113.36 96.75 96.45°
Fractional positions:
Li1 0.516 0.104 0.915
Li2 0.977 0.200 0.802
Li3 0.746 0.048 0.462
Li4 0.284 0.157 0.357
Li5 0.000 0.000 0.000
Li6 0.003 0.396 0.595
Li7 0.215 0.550 0.935
Li8 0.742 0.643 0.840
Li9 0.500 0.500 0.500
Li10 0.258 0.357 0.160
Li11 0.785 0.450 0.065
Li12 0.997 0.604 0.405
Li13 0.716 0.843 0.643
Li14 0.254 0.952 0.538
Li15 0.023 0.800 0.198
Li16 0.484 0.896 0.085
Cr1 0.477 0.299 0.739
Cr2 0.787 0.214 0.247
Cr3 0.213 0.786 0.753
Cr4 0.523 0.701 0.261
O1 0.609 0.103 0.681
O2 0.895 0.031 0.223
O3 0.368 0.320 0.918
O4 0.178 0.181 0.585
O5 0.830 0.405 0.818
O6 0.660 0.272 0.436
O7 0.436 0.143 0.141
O8 0.870 0.229 0.057
O9 0.398 0.479 0.715
O10 0.086 0.364 0.357
O11 0.914 0.636 0.643
O12 0.602 0.521 0.285
O13 0.130 0.771 0.943
O14 0.564 0.857 0.859
O15 0.340 0.728 0.564
O16 0.170 0.595 0.182
O17 0.822 0.819 0.415
O18 0.632 0.680 0.082
O19 0.105 0.969 0.777
O20 0.391 0.897 0.319



No. 7
DFT (PBE+U) results for crystalline Li5CrO4 at its relaxed geometry.

## Properties
For the energy relative to the elements, the calculation gives -20.98 eV/f.u. For the total DFT energy (no corrections), the calculation gives -5.523 eV/atom. For the total magnetic moment, the calculation gives 24.00 μB/cell. As for the corrected total energy (MP2020 scheme): -5.997 eV per atom. Its space-group type is Pbca (61).

Cell: 9.127 9.180 9.467 Å, 90.00 90.00 90.00°
Fractional positions:
Li1 0.109 0.608 0.141
Li2 0.109 0.892 0.641
Li3 0.115 0.112 0.840
Li4 0.115 0.388 0.340
Li5 0.125 0.852 0.380
Li6 0.125 0.648 0.880
Li7 0.150 0.872 0.114
Li8 0.150 0.628 0.614
Li9 0.161 0.116 0.394
Li10 0.161 0.384 0.894
Li11 0.339 0.884 0.894
Li12 0.339 0.616 0.394
Li13 0.350 0.372 0.114
Li14 0.350 0.128 0.614
Li15 0.375 0.352 0.380
Li16 0.375 0.148 0.880
Li17 0.385 0.888 0.340
Li18 0.385 0.612 0.840
Li19 0.391 0.108 0.141
Li20 0.391 0.392 0.641
Li21 0.609 0.608 0.359
Li22 0.609 0.892 0.859
Li23 0.615 0.112 0.660
Li24 0.615 0.388 0.160
Li25 0.625 0.648 0.620
Li26 0.625 0.852 0.120
Li27 0.650 0.628 0.886
Li28 0.650 0.872 0.386
Li29 0.661 0.116 0.106
Li30 0.661 0.384 0.606
Li31 0.839 0.616 0.106
Li32 0.839 0.884 0.606
Li33 0.850 0.372 0.386
Li34 0.850 0.128 0.886
Li35 0.875 0.148 0.620
Li36 0.875 0.352 0.120
Li37 0.885 0.612 0.660
Li38 0.885 0.888 0.160
Li39 0.891 0.108 0.359
Li40 0.891 0.392 0.859
Cr1 0.108 0.148 0.119
Cr2 0.108 0.352 0.619
Cr3 0.392 0.648 0.119
Cr4 0.392 0.852 0.619
Cr5 0.608 0.148 0.381
Cr6 0.608 0.352 0.881
Cr7 0.892 0.648 0.381
Cr8 0.892 0.852 0.881
O1 0.005 0.249 0.476
O2 0.005 0.251 0.976
O3 0.040 0.002 0.253
O4 0.040 0.498 0.753
O5 0.236 0.035 0.000
O6 0.236 0.465 0.500
O7 0.246 0.241 0.245
O8 0.246 0.259 0.745
O9 0.254 0.741 0.245
O10 0.254 0.759 0.745
O11 0.264 0.535 0.000
O12 0.264 0.965 0.500
O13 0.460 0.502 0.253
O14 0.460 0.998 0.753
O15 0.495 0.749 0.476
O16 0.495 0.751 0.976
O17 0.505 0.249 0.024
O18 0.505 0.251 0.524
O19 0.540 0.002 0.247
O20 0.540 0.498 0.747
O21 0.736 0.035 0.500
O22 0.736 0.465 0.000
O23 0.746 0.241 0.255
O24 0.746 0.259 0.755
O25 0.754 0.741 0.255
O26 0.754 0.759 0.755
O27 0.764 0.535 0.500
O28 0.764 0.965 0.000
O29 0.960 0.502 0.247
O30 0.960 0.998 0.747
O31 0.995 0.749 0.024
O32 0.995 0.751 0.524



No. 8
DFT (PBE+U) results for crystalline Li3CrO4 at its relaxed geometry.

## Properties
For the energy relative to the elements, the calculation gives -16.84 eV/f.u. For the total DFT energy (no corrections), the calculation gives -5.908 eV/atom. For the total magnetic moment, the calculation gives 2.00 μB/cell. As for the corrected total energy (MP2020 scheme): -6.501 eV per atom. Its space-group type is P2/c (13).

Cell: 5.837 4.954 5.092 Å, 70.05 90.00 90.00°
Fractional positions:
Li1 0.632 0.250 0.000
Li2 0.368 0.750 0.000
Li3 0.386 0.250 0.500
Li4 0.880 0.250 0.500
Li5 0.614 0.750 0.500
Li6 0.120 0.750 0.500
Cr1 0.155 0.250 0.000
Cr2 0.845 0.750 0.000
O1 0.356 0.025 0.237
O2 0.106 0.490 0.216
O3 0.644 0.525 0.237
O4 0.894 0.990 0.216
O5 0.106 0.010 0.784
O6 0.356 0.475 0.763
O7 0.894 0.510 0.784
O8 0.644 0.975 0.763